# Na6Y2Ta6Si9S3O48

An optimized crystal structure of Na6Y2Ta6Si9S3O48 (PBE, Materials Project).

Its energy of formation from the pure elements is -220.3 eV/f.u. Its calculated total energy is -1734.22 eV/cell.

Unit cell a=9.051 b=15.579 c=23.030 alpha=90.28 beta=90.10 gamma=90.05
Fractional coordinates of all 222 atoms:
Na: 0.000 0.000 0.000
Na: 0.000 0.351 0.663
Na: 0.000 0.680 0.335
Na: 0.115 0.518 0.253
Na: 0.357 0.017 0.750
Na: 0.469 0.841 0.170
Na: 0.476 0.500 0.502
Na: 0.478 0.179 0.828
Na: 0.478 0.504 0.002
Na: 0.486 0.833 0.665
Na: 0.500 0.167 0.341
Na: 0.674 0.322 0.248
Na: 0.681 0.684 0.258
Na: 0.794 0.185 0.756
Na: 0.802 0.821 0.745
Na: 0.973 0.666 0.837
Na: 0.985 0.335 0.167
Na: 0.995 0.004 0.503
Y: 0.477 0.183 0.686
Y: 0.487 0.508 0.364
Y: 0.491 0.173 0.185
Y: 0.982 0.669 0.683
Y: 0.987 0.008 0.863
Y: 0.997 0.683 0.187
Ta: 0.005 0.677 0.980
Ta: 0.467 0.177 0.480
Ta: 0.467 0.182 0.982
Ta: 0.478 0.838 0.017
Ta: 0.480 0.849 0.526
Ta: 0.482 0.844 0.316
Ta: 0.492 0.511 0.147
Ta: 0.499 0.840 0.820
Ta: 0.501 0.506 0.862
Ta: 0.506 0.510 0.643
Ta: 0.972 0.006 0.363
Ta: 0.974 0.340 0.321
Ta: 0.981 0.011 0.647
Ta: 0.982 0.009 0.148
Ta: 0.990 0.349 0.025
Ta: 0.991 0.347 0.814
Ta: 0.993 0.344 0.519
Ta: 0.999 0.675 0.487
Si: 0.123 0.492 0.419
Si: 0.127 0.156 0.755
Si: 0.127 0.197 0.419
Si: 0.138 0.532 0.088
Si: 0.139 0.825 0.085
Si: 0.187 0.175 0.086
Si: 0.197 0.840 0.419
Si: 0.269 0.344 0.918
Si: 0.285 0.675 0.588
Si: 0.335 0.032 0.589
Si: 0.336 0.325 0.585
Si: 0.343 0.696 0.916
Si: 0.346 0.656 0.254
Si: 0.351 0.990 0.920
Si: 0.623 0.987 0.421
Si: 0.626 0.651 0.755
Si: 0.635 0.369 0.754
Si: 0.636 0.323 0.087
Si: 0.693 0.336 0.425
Si: 0.694 0.005 0.753
Si: 0.779 0.838 0.926
Si: 0.780 0.505 0.253
Si: 0.835 0.869 0.255
Si: 0.837 0.823 0.587
Si: 0.846 0.524 0.583
Si: 0.848 0.152 0.256
Si: 0.849 0.487 0.921
S: 0.138 0.864 0.752
S: 0.207 0.507 0.757
S: 0.266 0.005 0.256
S: 0.336 0.365 0.251
S: 0.636 0.706 0.421
S: 0.637 0.023 0.083
S: 0.688 0.676 0.085
S: 0.785 0.175 0.585
S: 0.836 0.205 0.922
O: 0.035 0.249 0.761
O: 0.036 0.584 0.426
O: 0.048 0.105 0.697
O: 0.056 0.920 0.094
O: 0.057 0.441 0.359
O: 0.060 0.101 0.410
O: 0.060 0.240 0.476
O: 0.062 0.774 0.029
O: 0.065 0.560 0.148
O: 0.074 0.435 0.074
O: 0.074 0.778 0.747
O: 0.075 0.902 0.805
O: 0.076 0.428 0.472
O: 0.077 0.254 0.070
O: 0.084 0.088 0.095
O: 0.091 0.756 0.428
O: 0.095 0.595 0.033
O: 0.095 0.926 0.410
O: 0.096 0.259 0.362
O: 0.100 0.097 0.810
O: 0.104 0.919 0.699
O: 0.108 0.426 0.762
O: 0.108 0.582 0.756
O: 0.133 0.772 0.143
O: 0.153 0.022 0.595
O: 0.160 0.337 0.572
O: 0.162 0.689 0.925
O: 0.163 0.352 0.974
O: 0.165 0.327 0.861
O: 0.171 0.660 0.531
O: 0.171 0.668 0.250
O: 0.172 0.361 0.254
O: 0.175 0.013 0.307
O: 0.177 0.001 0.924
O: 0.177 0.994 0.201
O: 0.193 0.699 0.644
O: 0.283 0.193 0.143
O: 0.290 0.494 0.703
O: 0.298 0.500 0.423
O: 0.298 0.511 0.810
O: 0.303 0.160 0.029
O: 0.303 0.168 0.750
O: 0.303 0.862 0.755
O: 0.306 0.827 0.361
O: 0.309 0.189 0.426
O: 0.309 0.852 0.473
O: 0.317 0.842 0.073
O: 0.320 0.522 0.094
O: 0.344 0.271 0.643
O: 0.359 0.924 0.259
O: 0.366 0.079 0.251
O: 0.371 0.419 0.199
O: 0.374 0.596 0.309
O: 0.375 0.759 0.862
O: 0.376 0.258 0.928
O: 0.378 0.095 0.533
O: 0.378 0.427 0.911
O: 0.385 0.588 0.596
O: 0.397 0.754 0.570
O: 0.398 0.934 0.574
O: 0.399 0.926 0.973
O: 0.400 0.401 0.304
O: 0.401 0.278 0.245
O: 0.408 0.059 0.649
O: 0.409 0.741 0.975
O: 0.413 0.601 0.912
O: 0.416 0.273 0.529
O: 0.416 0.419 0.593
O: 0.416 0.942 0.860
O: 0.424 0.604 0.196
O: 0.438 0.749 0.259
O: 0.441 0.082 0.930
O: 0.546 0.748 0.763
O: 0.549 0.081 0.430
O: 0.553 0.938 0.363
O: 0.555 0.418 0.092
O: 0.557 0.266 0.033
O: 0.561 0.604 0.697
O: 0.564 0.417 0.811
O: 0.569 0.621 0.419
O: 0.573 0.056 0.138
O: 0.574 0.751 0.471
O: 0.576 0.593 0.812
O: 0.579 0.934 0.075
O: 0.584 0.270 0.754
O: 0.584 0.750 0.078
O: 0.589 0.087 0.748
O: 0.592 0.915 0.758
O: 0.593 0.595 0.089
O: 0.594 0.426 0.696
O: 0.594 0.926 0.476
O: 0.595 0.420 0.424
O: 0.597 0.247 0.430
O: 0.599 0.754 0.365
O: 0.606 0.079 0.034
O: 0.623 0.273 0.148
O: 0.652 0.866 0.263
O: 0.661 0.837 0.572
O: 0.662 0.520 0.589
O: 0.664 0.841 0.980
O: 0.666 0.491 0.195
O: 0.668 0.497 0.914
O: 0.670 0.168 0.255
O: 0.672 0.198 0.927
O: 0.673 0.827 0.865
O: 0.677 0.516 0.308
O: 0.684 0.162 0.536
O: 0.709 0.188 0.641
O: 0.763 0.690 0.140
O: 0.787 0.664 0.036
O: 0.795 0.016 0.809
O: 0.797 0.326 0.363
O: 0.799 0.702 0.423
O: 0.803 0.017 0.090
O: 0.803 0.670 0.757
O: 0.805 0.997 0.414
O: 0.807 0.991 0.696
O: 0.810 0.339 0.477
O: 0.811 0.336 0.073
O: 0.818 0.365 0.764
O: 0.849 0.775 0.648
O: 0.866 0.253 0.866
O: 0.874 0.748 0.931
O: 0.878 0.093 0.589
O: 0.878 0.426 0.976
O: 0.878 0.922 0.926
O: 0.879 0.926 0.197
O: 0.882 0.591 0.529
O: 0.883 0.415 0.257
O: 0.884 0.588 0.247
O: 0.888 0.247 0.578
O: 0.888 0.771 0.253
O: 0.897 0.093 0.311
O: 0.898 0.251 0.972
O: 0.901 0.425 0.573
O: 0.902 0.119 0.921
O: 0.909 0.918 0.311
O: 0.914 0.103 0.197
O: 0.917 0.554 0.643
O: 0.917 0.919 0.593
O: 0.919 0.770 0.533
O: 0.920 0.438 0.864
O: 0.922 0.581 0.931
O: 0.927 0.248 0.261

***

# Nb4V2Si5

An optimized crystal structure of Nb4V2Si5 (PBE, Materials Project).

Its energy of formation from the pure elements is -6.6 eV/f.u. Its calculated total energy is -185.41 eV/cell.

Unit cell a=9.475 b=9.475 c=9.475 alpha=130.72 beta=59.20 gamma=149.28
Fractional coordinates of all 22 atoms:
Nb: 0.064 0.745 0.809
Nb: 0.144 0.115 0.259
Nb: 0.356 0.615 0.972
Nb: 0.436 0.245 0.681
Nb: 0.564 0.755 0.319
Nb: 0.644 0.385 0.028
Nb: 0.856 0.885 0.741
Nb: 0.936 0.255 0.191
V: 0.059 0.750 0.309
V: 0.441 0.750 0.691
V: 0.559 0.250 0.309
V: 0.941 0.250 0.691
Si: 0.068 0.417 0.484
Si: 0.217 0.795 0.013
Si: 0.250 0.250 0.000
Si: 0.283 0.295 0.578
Si: 0.432 0.917 0.349
Si: 0.568 0.083 0.651
Si: 0.717 0.705 0.422
Si: 0.750 0.750 0.000
Si: 0.783 0.205 0.987
Si: 0.932 0.583 0.516

***

# CoAsS

An optimized crystal structure of CoAsS (PBE, Materials Project).

Its energy of formation from the pure elements is -1.2 eV/f.u. Its calculated total energy is -66.59 eV/cell. Its energy relative to the lowest polymorph listed for this composition is 201 meV per atom.

Unit cell a=5.579 b=5.613 c=5.618 alpha=90.00 beta=92.55 gamma=90.00
Fractional coordinates of all 12 atoms:
Co: 0.000 0.000 0.000
Co: 0.000 0.500 0.500
Co: 0.500 0.000 0.500
Co: 0.500 0.500 0.000
As: 0.123 0.124 0.628
As: 0.123 0.376 0.128
As: 0.877 0.624 0.872
As: 0.877 0.876 0.372
S: 0.373 0.618 0.614
S: 0.373 0.882 0.114
S: 0.627 0.118 0.886
S: 0.627 0.382 0.386

***

# Si

An optimized crystal structure of Si (PBE, Materials Project).

Its energy of formation from the pure elements is 0.3 eV/f.u. Its calculated total energy is -20.52 eV/cell. Its energy relative to the lowest polymorph listed for this composition is 296 meV per atom.

Unit cell a=5.375 b=5.271 c=3.631 alpha=71.61 beta=68.53 gamma=39.86
Fractional coordinates of all 4 atoms:
Si: 0.221 0.221 0.779
Si: 0.271 0.729 0.271
Si: 0.729 0.271 0.729
Si: 0.779 0.779 0.221

***

# Ba5Ce4ZrO15

An optimized crystal structure of Ba5Ce4ZrO15 (PBE, Materials Project).

Its energy of formation from the pure elements is -89.8 eV/f.u. Its calculated total energy is -391.10 eV/cell. Its energy relative to the lowest polymorph listed for this composition is 1 meV per atom.

Unit cell a=6.225 b=6.231 c=25.630 alpha=83.13 beta=83.17 gamma=60.45
Fractional coordinates of all 50 atoms:
Ba: 0.044 0.057 0.349
Ba: 0.156 0.145 0.049
Ba: 0.243 0.255 0.752
Ba: 0.357 0.343 0.450
Ba: 0.445 0.457 0.148
Ba: 0.555 0.543 0.852
Ba: 0.643 0.657 0.550
Ba: 0.757 0.745 0.248
Ba: 0.844 0.855 0.951
Ba: 0.956 0.943 0.651
Ce: 0.000 0.000 0.500
Ce: 0.101 0.101 0.197
Ce: 0.300 0.300 0.600
Ce: 0.400 0.401 0.299
Ce: 0.500 0.500 0.000
Ce: 0.600 0.599 0.701
Ce: 0.700 0.700 0.400
Ce: 0.899 0.899 0.803
Zr: 0.200 0.199 0.901
Zr: 0.800 0.801 0.099
O: 0.028 0.525 0.342
O: 0.037 0.515 0.846
O: 0.076 0.225 0.550
O: 0.119 0.993 0.853
O: 0.160 0.674 0.058
O: 0.175 0.674 0.558
O: 0.222 0.729 0.743
O: 0.225 0.731 0.241
O: 0.286 0.406 0.949
O: 0.319 0.178 0.249
O: 0.364 0.879 0.955
O: 0.375 0.874 0.458
O: 0.427 0.924 0.642
O: 0.445 0.922 0.141
O: 0.475 0.623 0.350
O: 0.525 0.377 0.650
O: 0.555 0.078 0.859
O: 0.573 0.076 0.358
O: 0.625 0.126 0.542
O: 0.636 0.121 0.045
O: 0.681 0.822 0.751
O: 0.714 0.594 0.051
O: 0.775 0.269 0.759
O: 0.778 0.271 0.257
O: 0.825 0.326 0.442
O: 0.840 0.326 0.942
O: 0.881 0.007 0.147
O: 0.924 0.775 0.450
O: 0.963 0.485 0.154
O: 0.972 0.475 0.658

***

# NaTiF3

An optimized crystal structure of NaTiF3 (PBE, Materials Project).

Its energy of formation from the pure elements is -14.6 eV/f.u. Its calculated total energy is -28.19 eV/cell.

Unit cell a=4.158 b=4.158 c=4.158 alpha=90.00 beta=90.00 gamma=90.00
Fractional coordinates of all 5 atoms:
Na: 0.000 0.000 0.000
Ti: 0.500 0.500 0.500
F: 0.000 0.500 0.500
F: 0.500 0.000 0.500
F: 0.500 0.500 0.000

***

# BaGe3

An optimized crystal structure of BaGe3 (PBE, Materials Project).

Its energy of formation from the pure elements is -1.3 eV/f.u. Its calculated total energy is -68.19 eV/cell.

Unit cell a=8.557 b=8.557 c=8.557 alpha=124.82 beta=124.82 gamma=81.83
Fractional coordinates of all 16 atoms:
Ba: 0.174 0.174 0.000
Ba: 0.250 0.750 0.500
Ba: 0.750 0.250 0.500
Ba: 0.826 0.826 0.000
Ge: 0.000 0.340 0.340
Ge: 0.000 0.660 0.660
Ge: 0.220 0.220 0.637
Ge: 0.220 0.584 0.000
Ge: 0.340 0.000 0.340
Ge: 0.416 0.416 0.637
Ge: 0.416 0.780 0.000
Ge: 0.584 0.220 0.000
Ge: 0.584 0.584 0.363
Ge: 0.660 0.000 0.660
Ge: 0.780 0.416 0.000
Ge: 0.780 0.780 0.363

***

# Ba2SmMgCu3O7

An optimized crystal structure of Ba2SmMgCu3O7 (PBE, Materials Project).

Its energy of formation from the pure elements is -28.4 eV/f.u. Its calculated total energy is -80.71 eV/cell. Its energy relative to the lowest polymorph listed for this composition is 35 meV per atom.

Unit cell a=3.781 b=13.179 c=4.164 alpha=90.00 beta=90.00 gamma=90.00
Fractional coordinates of all 14 atoms:
Ba: 0.000 0.228 0.000
Ba: 0.000 0.772 0.000
Sm: 0.000 0.500 0.951
Mg: 0.000 0.000 0.724
Cu: 0.500 0.000 0.333
Cu: 0.500 0.386 0.457
Cu: 0.500 0.614 0.457
O: 0.000 0.387 0.449
O: 0.000 0.613 0.449
O: 0.500 0.000 0.861
O: 0.500 0.144 0.386
O: 0.500 0.384 0.954
O: 0.500 0.616 0.954
O: 0.500 0.856 0.386

***

# SrIrO3

An optimized crystal structure of SrIrO3 (PBE, Materials Project).

Its energy of formation from the pure elements is -10.0 eV/f.u. Its calculated total energy is -133.38 eV/cell.

Unit cell a=5.689 b=7.944 c=5.642 alpha=90.00 beta=90.00 gamma=90.00
Fractional coordinates of all 20 atoms:
Sr: 0.042 0.250 0.010
Sr: 0.458 0.750 0.510
Sr: 0.542 0.250 0.490
Sr: 0.958 0.750 0.990
Ir: 0.000 0.000 0.500
Ir: 0.000 0.500 0.500
Ir: 0.500 0.000 0.000
Ir: 0.500 0.500 0.000
O: 0.016 0.750 0.417
O: 0.212 0.545 0.788
O: 0.212 0.955 0.788
O: 0.288 0.045 0.288
O: 0.288 0.455 0.288
O: 0.484 0.250 0.917
O: 0.516 0.750 0.083
O: 0.712 0.545 0.712
O: 0.712 0.955 0.712
O: 0.788 0.045 0.212
O: 0.788 0.455 0.212
O: 0.984 0.250 0.583

***

calculated total energy of number 2 (Nb4V2Si5)?
-185.41 eV/cell

***

Which of these has the lowest calculated total energy?
Na6Y2Ta6Si9S3O48